DFT (GGA+U) results for a relaxed Li2Mn3CuO8 crystal.

```
data_Li2Mn3CuO8
_space_group_name_H-M_alt 'P 1'
_space_group_IT_number 1
_cell_length_a 5.955
_cell_length_b 5.955
_cell_length_c 5.955
_cell_angle_alpha 59.08
_cell_angle_beta 59.08
_cell_angle_gamma 59.08
loop_
_space_group_symop_operation_xyz
'x,y,z'
loop_
_atom_site_label
_atom_site_type_symbol
_atom_site_fract_x
_atom_site_fract_y
_atom_site_fract_z
Li1 Li 0.120 0.120 0.120
Li2 Li 0.880 0.880 0.880
Mn1 Mn 0.500 0.000 0.500
Mn2 Mn 0.500 0.500 0.000
Mn3 Mn 0.000 0.500 0.500
Cu1 Cu 0.500 0.500 0.500
O1 O 0.263 0.263 0.263
O2 O 0.708 0.254 0.254
O3 O 0.254 0.254 0.708
O4 O 0.254 0.708 0.254
O5 O 0.746 0.292 0.746
O6 O 0.746 0.746 0.292
O7 O 0.292 0.746 0.746
O8 O 0.737 0.737 0.737
```

- ΔH_f (0 K) (eV/atom) = -1.85
- total moment (μB per formula unit) = 8.0
- space group = R-3m
- E above lowest polymorph (meV/atom) = 7

***

DFT (GGA+U) results for a relaxed Sr10CaY4Co10O30 crystal.

```
data_Sr10CaY4Co10O30
_space_group_name_H-M_alt 'P 1'
_space_group_IT_number 1
_cell_length_a 11.682
_cell_length_b 11.682
_cell_length_c 11.682
_cell_angle_alpha 137.15
_cell_angle_beta 137.15
_cell_angle_gamma 62.20
loop_
_space_group_symop_operation_xyz
'x,y,z'
loop_
_atom_site_label
_atom_site_type_symbol
_atom_site_fract_x
_atom_site_fract_y
_atom_site_fract_z
Sr1 Sr 0.679 0.679 0.000
Sr2 Sr 0.076 0.872 0.581
Sr3 Sr 0.494 0.076 0.203
Sr4 Sr 0.872 0.291 0.797
Sr5 Sr 0.291 0.494 0.419
Sr6 Sr 0.709 0.506 0.581
Sr7 Sr 0.128 0.709 0.203
Sr8 Sr 0.506 0.924 0.797
Sr9 Sr 0.924 0.128 0.419
Sr10 Sr 0.321 0.321 0.000
Ca1 Ca 0.500 0.500 0.000
Y1 Y 0.898 0.701 0.599
Y2 Y 0.299 0.898 0.196
Y3 Y 0.701 0.102 0.804
Y4 Y 0.102 0.299 0.401
Co1 Co 0.897 0.897 0.000
Co2 Co 0.307 0.108 0.598
Co3 Co 0.709 0.307 0.199
Co4 Co 0.108 0.510 0.801
Co5 Co 0.510 0.709 0.402
Co6 Co 0.490 0.291 0.598
Co7 Co 0.892 0.490 0.199
Co8 Co 0.291 0.693 0.801
Co9 Co 0.693 0.892 0.402
Co10 Co 0.103 0.103 0.000
O1 O 0.025 0.730 0.898
O2 O 0.428 0.928 0.500
O3 O 0.832 0.127 0.102
O4 O 0.220 0.323 0.694
O5 O 0.629 0.526 0.306
O6 O 0.730 0.832 0.705
O7 O 0.127 0.025 0.295
O8 O 0.526 0.220 0.897
O9 O 0.928 0.428 0.500
O10 O 0.323 0.629 0.103
O11 O 0.371 0.474 0.694
O12 O 0.780 0.677 0.306
O13 O 0.168 0.873 0.898
O14 O 0.572 0.072 0.500
O15 O 0.975 0.270 0.102
O16 O 0.677 0.371 0.897
O17 O 0.072 0.572 0.500
O18 O 0.474 0.780 0.103
O19 O 0.873 0.975 0.705
O20 O 0.270 0.168 0.295
O21 O 0.808 0.808 0.000
O22 O 0.204 0.005 0.601
O23 O 0.603 0.204 0.199
O24 O 0.005 0.405 0.801
O25 O 0.405 0.603 0.399
O26 O 0.595 0.397 0.601
O27 O 0.995 0.595 0.199
O28 O 0.397 0.796 0.801
O29 O 0.796 0.995 0.399
O30 O 0.192 0.192 0.000
```

- ΔH_f (0 K) (eV/atom) = -2.38
- total moment (μB per formula unit) = 0.0
- space group = I4/m

***

DFT (GGA+U) results for a relaxed PrVO3 crystal.

```
data_PrVO3
_space_group_name_H-M_alt 'P 1'
_space_group_IT_number 1
_cell_length_a 3.936
_cell_length_b 3.936
_cell_length_c 3.936
_cell_angle_alpha 90.00
_cell_angle_beta 90.00
_cell_angle_gamma 90.00
loop_
_space_group_symop_operation_xyz
'x,y,z'
loop_
_atom_site_label
_atom_site_type_symbol
_atom_site_fract_x
_atom_site_fract_y
_atom_site_fract_z
Pr1 Pr 0.000 0.000 0.000
V1 V 0.500 0.500 0.500
O1 O 0.000 0.500 0.500
O2 O 0.500 0.500 0.000
O3 O 0.500 0.000 0.500
```

- ΔH_f (0 K) (eV/atom) = -2.99
- total moment (μB per formula unit) = 2.0
- space group = Pm-3m

***

| no. | uncorrected energy (eV per atom) |
| --- | --- |
| 1 | -6.46 |
| 2 | -6.52 |
| 3 | -7.98 |